A plane-wave DFT calculation with PBE-GGA was carried out for crystalline NaCa3NbS6O24 at its relaxed geometry.

abc: 9.1322 9.1322 23.9067
angles: 90.00 90.00 120.00
Closest atoms and distances in Å follow each position.
Element x y z (fractional)
O: 0.5218 0.6746 0.5709  1 S 1.50
O: 0.9111 0.3754 0.6331  1 S 1.46
O: 0.8793 0.3636 0.9228  1 S 1.48
O: 0.1306 0.4737 0.8667  1 S 1.47
O: 0.1576 0.6691 0.4720  1 S 1.65
O: 0.3583 0.4837 0.3696  1 S 1.44
O: 0.9741 0.7933 0.7984  1 S 1.46
O: 0.4752 0.1639 0.2489  1 S 1.49
O: 0.9125 0.5361 0.1291  1 S 1.45
O: 0.4871 0.3663 0.4287  1 S 1.46
O: 0.5166 0.6720 0.9689  1 S 1.53
O: 0.3254 0.8472 0.5709  1 S 1.50
O: 0.4540 0.2981 0.7400  1 S 1.47
O: 0.1769 0.1778 0.6961  1 S 1.58
O: 0.0010 0.2103 0.1999  1 S 1.48
O: 0.5116 0.8424 0.4720  1 S 1.65
O: 0.3309 0.4884 0.4720  1 S 1.65
O: 0.1528 0.4782 0.5709  1 S 1.50
O: 0.6337 0.1207 0.4287  1 S 1.46
O: 0.3431 0.8694 0.8667  1 S 1.47
O: 0.8192 0.0259 0.7984  1 S 1.46
O: 0.0443 0.8219 0.4213  1 S 1.45
O: 0.2093 0.9990 0.1999  1 S 1.48
O: 0.1789 0.9960 0.5986  1 S 1.55
O: 0.5398 0.6814 0.2555  1 S 1.47
O: 0.4185 0.1334 0.5356  1 S 1.46
O: 0.7897 0.7907 0.1999  1 S 1.48
O: 0.6235 0.0875 0.1291  1 S 1.45
O: 0.8222 0.9991 0.6961  1 S 1.58
O: 0.4844 0.1207 0.9228  1 S 1.48
O: 0.5163 0.8746 0.3696  1 S 1.44
O: 0.5263 0.6569 0.8667  1 S 1.47
O: 0.0009 0.8231 0.6961  1 S 1.58
O: 0.8096 0.7817 0.3022  1 S 1.49
O: 0.0092 0.8122 0.0831  1 S 1.46
O: 0.7777 0.9557 0.4213  1 S 1.45
O: 0.0040 0.1829 0.5986  1 S 1.55
O: 0.0411 0.2165 0.9218  1 S 1.48
O: 0.4443 0.3156 0.0291  1 S 1.47
O: 0.3186 0.8584 0.2555  1 S 1.47
O: 0.1781 0.2223 0.4213  1 S 1.45
O: 0.3467 0.4978 0.0661  1 S 1.58
O: 0.8361 0.3113 0.2489  1 S 1.49
O: 0.1511 0.6533 0.0661  1 S 1.58
O: 0.1554 0.4834 0.9689  1 S 1.53
O: 0.5022 0.8489 0.0661  1 S 1.58
O: 0.2183 0.0279 0.3022  1 S 1.49
O: 0.6364 0.5156 0.9228  1 S 1.48
O: 0.8030 0.9908 0.0831  1 S 1.46
O: 0.7019 0.1559 0.7400  1 S 1.47
O: 0.7835 0.8245 0.9218  1 S 1.48
O: 0.2067 0.1808 0.7984  1 S 1.46
O: 0.1755 0.9589 0.9218  1 S 1.48
O: 0.4643 0.0889 0.6331  1 S 1.46
O: 0.1416 0.4602 0.2555  1 S 1.47
O: 0.1254 0.6417 0.3696  1 S 1.44
O: 0.5592 0.8471 0.7466  1 S 1.46
O: 0.4639 0.3765 0.1291  1 S 1.45
O: 0.1878 0.1970 0.0831  1 S 1.46
O: 0.8793 0.5129 0.4287  1 S 1.46
O: 0.8712 0.5557 0.0291  1 S 1.47
O: 0.7149 0.5815 0.5356  1 S 1.46
O: 0.6887 0.5248 0.2489  1 S 1.49
O: 0.6246 0.5357 0.6331  1 S 1.46
O: 0.3280 0.8446 0.9689  1 S 1.53
O: 0.2879 0.4408 0.7466  1 S 1.46
O: 0.8666 0.2851 0.5356  1 S 1.46
O: 0.8441 0.5460 0.7400  1 S 1.47
O: 0.8171 0.8211 0.5986  1 S 1.55
O: 0.9721 0.1904 0.3022  1 S 1.49
O: 0.1529 0.7121 0.7466  1 S 1.46
O: 0.6844 0.1288 0.0291  1 S 1.47
Ca: 0.6667 0.3333 0.1830  6 O 2.29-2.44
Ca: 0.3333 0.6667 0.3058  6 O 2.18-2.36
Ca: 0.6667 0.3333 0.9841  6 O 2.23-2.34
Ca: 0.0000 0.0000 0.3526  6 O 2.23-2.48
Ca: 0.6667 0.3333 0.6787  6 O 2.32-2.34
Ca: 0.3333 0.6667 0.8066  6 O 2.31-2.37
Ca: 0.0000 0.0000 0.1542  6 O 2.21-2.45
Ca: 0.0000 0.0000 0.8594  6 O 2.30-2.35
Ca: 0.6667 0.3333 0.4863  6 O 2.27-2.39
Na: 0.6667 0.3333 0.8368  6 O 2.75-2.93
Na: 0.6667 0.3333 0.3194  3 O 2.36
Na: 0.0000 0.0000 0.0053  6 O 2.56-2.70
S: 0.3367 0.3800 0.4177  3 O 1.44-1.46
S: 0.3622 0.3362 0.0788  4 O 1.45-1.58
S: 0.0494 0.3827 0.9184  4 O 1.47-1.53
S: 0.6173 0.6667 0.9184  4 O 1.47-1.53
S: 0.2864 0.2806 0.7482  4 O 1.46-1.58
S: 0.7194 0.0058 0.7482  4 O 1.46-1.58
S: 0.9942 0.7136 0.7482  4 O 1.46-1.58
S: 0.6662 0.6450 0.5839  4 O 1.46-1.55
S: 0.6638 0.0260 0.0788  4 O 1.45-1.58
S: 0.6200 0.9566 0.4177  3 O 1.44-1.46
S: 0.3333 0.9506 0.9184  4 O 1.47-1.53
S: 0.3033 0.0105 0.2516  4 O 1.47-1.49
S: 0.9789 0.3338 0.5839  4 O 1.46-1.55
S: 0.3550 0.0211 0.5839  4 O 1.46-1.55
S: 0.9740 0.6378 0.0788  4 O 1.45-1.58
S: 0.9895 0.2928 0.2516  4 O 1.47-1.49
S: 0.0434 0.6633 0.4177  3 O 1.44-1.46
S: 0.7072 0.6967 0.2516  4 O 1.47-1.49
Nb: 0.0000 0.0000 0.6484  6 O 1.98-2.04
Nb: 0.3333 0.6667 0.5144  3 O 1.91
Nb: 0.3333 0.6667 0.0206  6 O 1.94-2.06

Results
The total magnetization is 0.000 μB per formula unit. The value obtained for the total energy is -6.52 eV/atom. Its symmetry is P3, No. 143. The value obtained for the density is 2.34 Mg/m³. The total energy after the MP2020 corrections comes out at -6.986 eV/atom. The calculation puts the energy of formation at -83.5 eV/f.u.

---

A plane-wave DFT calculation with PBE-GGA was carried out for crystalline Al10Cu6O21 at its relaxed geometry.

abc: 6.0050 6.0050 14.3535
angles: 85.64 85.64 58.30
Closest atoms and distances in Å follow each position.
Element x y z (fractional)
Al: 0.0406 0.0406 0.6144  4 O 1.74-1.92
Al: 0.4960 0.4960 0.1084  4 O 1.76-1.77
Al: 0.9989 0.4971 0.1173  4 O 1.76-1.83
Al: 0.4971 0.9989 0.1173  4 O 1.76-1.83
Al: 0.8292 0.8292 0.8014  4 O 1.74-1.92
Al: 0.1581 0.6531 0.4668  4 O 1.77-1.81
Al: 0.3301 0.3301 0.2891  4 O 1.71-1.83
Al: 0.3400 0.8255 0.7989  4 O 1.73-1.89
Al: 0.8255 0.3400 0.7989  4 O 1.73-1.89
Al: 0.6531 0.1581 0.4668  4 O 1.77-1.81
O: 0.3007 0.8204 0.9196  1 Al 1.73, 1 Cu 1.86
O: 0.8330 0.8330 0.9222  1 Al 1.74, 1 Cu 1.94
O: 0.2094 0.7083 0.5802  2 Al 1.77-1.79
O: 0.2065 0.2065 0.5959  1 Al 1.74, 1 Cu 1.92
O: 0.1912 0.1912 0.0649  2 Al 1.77
O: 0.4575 0.0046 0.2449  2 Al 1.83
O: 0.8204 0.3007 0.9196  1 Al 1.73, 1 Cu 1.86
O: 0.5021 0.5021 0.7579  2 Al 1.78
O: 0.6646 0.1608 0.0810  2 Al 1.76-1.77
O: 0.8204 0.8204 0.4449  2 Al 1.77
O: 0.9917 0.5056 0.7633  2 Al 1.76-1.77
O: 0.0037 0.0037 0.7480  4 Al 1.89-1.92
O: 0.3383 0.3383 0.4137  3 Al 1.80-1.81
O: 0.8046 0.3184 0.4025  1 Al 1.81, 2 Cu 1.90-2.01
O: 0.1608 0.6646 0.0810  2 Al 1.76-1.77
O: 0.6655 0.6655 0.0917  3 Al 1.76-1.77
O: 0.3184 0.8046 0.4025  1 Al 1.81, 2 Cu 1.90-2.01
O: 0.5056 0.9917 0.7633  2 Al 1.76-1.77
O: 0.4798 0.4798 0.2318  2 Al 1.71-1.76
O: 0.7083 0.2094 0.5802  2 Al 1.77-1.79
O: 0.0046 0.4575 0.2449  2 Al 1.83
Cu: 0.3201 0.3201 0.9444  1 O 2.10
Cu: 0.3413 0.3413 0.6779  4 O 1.92-2.12
Cu: 0.9848 0.9848 0.9897  5 O 1.86-2.06
Cu: 0.6369 0.6369 0.3154  5 O 2.01-2.12
Cu: 0.0982 0.0982 0.3239  2 O 1.90
Cu: 0.6368 0.6368 0.5023  3 O 2.03-2.21

Results
The total magnetization is 5.168 μB per formula unit. The value obtained for the total energy is -6.39 eV/atom. Its symmetry is Cm, No. 8. The value obtained for the density is 3.74 Mg/m³. The total energy after the MP2020 corrections comes out at -6.783 eV/atom. The calculation puts the energy of formation at -85.0 eV/f.u.

---

A plane-wave DFT calculation with PBE-GGA was carried out for crystalline Ca2AlSi2O7 at its relaxed geometry.

abc: 7.7874 7.7874 5.0889
angles: 90.00 90.00 90.00
Closest atoms and distances in Å follow each position.
Element x y z (fractional)
Al: 0.0000 0.0000 0.0000  4 O 1.80
Al: 0.5000 0.5000 0.0000  4 O 1.80
O: 0.5000 0.0000 0.8270  2 Si 1.70
O: 0.5833 0.6760 0.8085  1 Si 1.68, 1 Al 1.80
O: 0.6760 0.4167 0.1915  1 Si 1.68, 1 Al 1.80
O: 0.0000 0.5000 0.1730  2 Si 1.70
O: 0.8240 0.9167 0.8085  1 Si 1.68, 1 Al 1.80
O: 0.8637 0.3637 0.7194  1 Si 1.62
O: 0.3240 0.5833 0.1915  1 Si 1.68, 1 Al 1.80
O: 0.0833 0.8240 0.1915  1 Si 1.68, 1 Al 1.80
O: 0.9167 0.1760 0.1915  1 Si 1.68, 1 Al 1.80
O: 0.6363 0.8637 0.2806  1 Si 1.62
O: 0.4167 0.3240 0.8085  1 Si 1.68, 1 Al 1.80
O: 0.1363 0.6363 0.7194  1 Si 1.62
O: 0.3637 0.1363 0.2806  1 Si 1.62
O: 0.1760 0.0833 0.8085  1 Si 1.68, 1 Al 1.80
Ca: 0.6641 0.1641 0.4864  6 O 2.48-2.57
Ca: 0.3359 0.8359 0.4864  6 O 2.48-2.57
Ca: 0.1641 0.3359 0.5136  6 O 2.48-2.57
Ca: 0.8359 0.6641 0.5136  6 O 2.48-2.57
Si: 0.3585 0.1415 0.9618  4 O 1.62-1.70
Si: 0.8585 0.3585 0.0382  4 O 1.62-1.70
Si: 0.6415 0.8585 0.9618  4 O 1.62-1.70
Si: 0.1415 0.6415 0.0382  4 O 1.62-1.70

Results
The total magnetization is 0.001 μB per formula unit. The value obtained for the total energy is -7.25 eV/atom. Its symmetry is P-42_1m, No. 113. The value obtained for the density is 2.96 Mg/m³. The total energy after the MP2020 corrections comes out at -7.651 eV/atom. The calculation puts the energy of formation at -38.6 eV/f.u.

---

A plane-wave DFT calculation with PBE-GGA was carried out for crystalline SiO2 at its relaxed geometry.

abc: 7.7869 7.7869 7.7869
angles: 109.47 109.47 109.47
Closest atoms and distances in Å follow each position.
Element x y z (fractional)
O: 0.3665 0.6626 0.0000  2 Si 1.62
O: 0.0000 0.6626 0.3665  2 Si 1.62
O: 0.3374 0.7039 0.3374  2 Si 1.62
O: 0.6626 0.0000 0.3665  2 Si 1.62
O: 0.7039 0.3374 0.3374  2 Si 1.62
O: 0.2961 0.6335 0.6335  2 Si 1.62
O: 0.6335 0.2961 0.6335  2 Si 1.62
O: 0.0000 0.3665 0.6626  2 Si 1.62
O: 0.3665 0.0000 0.6626  2 Si 1.62
O: 0.6335 0.6335 0.2961  2 Si 1.62
O: 0.3374 0.3374 0.7039  2 Si 1.62
O: 0.6626 0.3665 0.0000  2 Si 1.62
Si: 0.5000 0.2500 0.7500  4 O 1.62
Si: 0.7500 0.5000 0.2500  4 O 1.62
Si: 0.2500 0.7500 0.5000  4 O 1.62
Si: 0.2500 0.5000 0.7500  4 O 1.62
Si: 0.7500 0.2500 0.5000  4 O 1.62
Si: 0.5000 0.7500 0.2500  4 O 1.62

Results
The value obtained for the total energy is -7.91 eV/atom. Its symmetry is I-43m, No. 217. The value obtained for the density is 1.65 Mg/m³. The total energy after the MP2020 corrections comes out at -8.367 eV/atom. The calculation puts the energy of formation at -9.8 eV/f.u.